Record 1
The following is a DFT calculation (PBE) of a geometry-optimized Nb6Fe16Si7 structure.

Output
The symmetry is Fm-3m. The calculation puts the total energy at -8.508 eV per atom.

Lattice parameters (Å, degrees): 7.9444 7.9444 7.9444 60.00 60.00 60.00
Fractional coordinates of all 29 atoms:
Nb 0.7958 0.2042 0.7958
Nb 0.7958 0.7958 0.2042
Nb 0.2042 0.7958 0.2042
Nb 0.2042 0.2042 0.7958
Nb 0.2042 0.7958 0.7958
Nb 0.7958 0.2042 0.2042
Fe 0.8600 0.3800 0.3800
Fe 0.6200 0.6200 0.1400
Fe 0.3800 0.3800 0.8600
Fe 0.8261 0.5216 0.8261
Fe 0.8261 0.8261 0.8261
Fe 0.8261 0.8261 0.5216
Fe 0.3800 0.3800 0.3800
Fe 0.1400 0.6200 0.6200
Fe 0.6200 0.6200 0.6200
Fe 0.1739 0.1739 0.1739
Fe 0.1739 0.4784 0.1739
Fe 0.5216 0.8261 0.8261
Fe 0.6200 0.1400 0.6200
Fe 0.1739 0.1739 0.4784
Fe 0.3800 0.8600 0.3800
Fe 0.4784 0.1739 0.1739
Si 0.5000 0.0000 0.0000
Si 0.0000 0.5000 0.0000
Si 0.5000 0.5000 0.0000
Si 0.5000 0.5000 0.5000
Si 0.0000 0.5000 0.5000
Si 0.0000 0.0000 0.5000
Si 0.5000 0.0000 0.5000

***

Record 2
The following is a DFT calculation (PBE) of a geometry-optimized Eu3Ga2 structure.

Output
The symmetry is C2/c. The calculation puts the total energy at -7.773 eV per atom.

Lattice parameters (Å, degrees): 5.9815 5.9815 8.5368 76.85 76.85 88.92
Fractional coordinates of all 10 atoms:
Eu 0.7441 0.6640 0.0304
Eu 0.3360 0.2559 0.4696
Eu 0.2559 0.3360 0.9696
Eu 0.1753 0.8247 0.2500
Eu 0.8247 0.1753 0.7500
Eu 0.6640 0.7441 0.5304
Ga 0.3062 0.8837 0.8411
Ga 0.1163 0.6938 0.6589
Ga 0.8837 0.3062 0.3411
Ga 0.6938 0.1163 0.1589

***

Record 3
The following is a DFT calculation (PBE) of a geometry-optimized CsIrN2 structure.

Output
The symmetry is P1. Its polymorph energy (0 for the lowest one) is 4 kJ/mol of formula units.

Lattice parameters (Å, degrees): 10.2981 12.9370 9.4531 90.04 62.66 128.93
Fractional coordinates of all 40 atoms:
Cs 0.6013 0.6992 0.9641
Cs 0.3987 0.3008 0.5655
Cs 0.7969 0.5977 0.1163
Cs 0.2029 0.4021 0.9133
Cs 0.5877 0.2018 0.7307
Cs 0.4122 0.7981 0.3185
Cs 0.8160 0.1141 0.3666
Cs 0.1842 0.8860 0.1826
Cs 0.0000 0.0001 0.5137
Cs 0.0000 0.4999 0.7636
Ir 0.0001 0.5003 0.2643
Ir 0.9995 0.9996 0.0149
Ir 0.1952 0.3980 0.4249
Ir 0.8053 0.6022 0.6196
Ir 0.6012 0.7027 0.4721
Ir 0.3998 0.2974 0.0728
Ir 0.3955 0.8014 0.8147
Ir 0.6045 0.1990 0.2107
Ir 0.2062 0.9050 0.6595
Ir 0.7926 0.0943 0.8662
N 0.1471 0.4812 0.3107
N 0.8523 0.5181 0.4582
N 0.8158 0.8341 0.2268
N 0.1841 0.1660 0.0422
N 0.1587 0.9928 0.8133
N 0.8420 0.0079 0.9718
N 0.8264 0.3336 0.2302
N 0.1743 0.6662 0.0557
N 0.3100 0.3430 0.2646
N 0.6893 0.6567 0.5754
N 0.3754 0.5325 0.4824
N 0.6236 0.4674 0.8575
N 0.2356 0.8055 0.7651
N 0.7649 0.1950 0.0000
N 0.3753 0.0701 0.4449
N 0.6247 0.9299 0.8203
N 0.5308 0.7954 0.5924
N 0.4696 0.2045 0.1230
N 0.0597 0.7646 0.5787
N 0.9404 0.2355 0.6378

***

Record 4
The following is a DFT calculation (PBE) of a geometry-optimized AgPdO2 structure.

Output
The symmetry is Pmmm. The calculation puts the total energy at -4.779 eV per atom.

Lattice parameters (Å, degrees): 3.0544 3.4074 5.4963 90.00 90.00 90.00
Fractional coordinates of all 4 atoms:
Ag 0.5000 0.5000 0.5000
Pd 0.0000 0.0000 0.0000
O 0.5000 0.0000 0.2446
O 0.5000 0.0000 0.7554

***

Record 5
The following is a DFT calculation (PBE) of a geometry-optimized Ga2SiGe2S5O24 structure.

Output
The symmetry is P1. The calculation puts the total energy at -6.177 eV per atom.

Lattice parameters (Å, degrees): 8.4124 8.4469 21.8483 89.63 89.66 120.07
Fractional coordinates of all 102 atoms:
Ga 0.9907 0.0001 0.3575
Ga 0.0021 0.0010 0.8546
Ga 0.6781 0.3377 0.6851
Ga 0.6584 0.3354 0.1846
Ga 0.6567 0.3300 0.9817
Ga 0.3313 0.6656 0.8120
Si 0.9624 0.3381 0.5840
Si 0.3765 0.3338 0.0834
Si 0.6181 0.9529 0.4176
Ge 0.9978 0.0054 0.6437
Ge 0.0065 0.0061 0.1451
Ge 0.6752 0.3167 0.4783
Ge 0.3344 0.6607 0.0222
Ge 0.3372 0.6653 0.5216
Ge 0.3397 0.6758 0.3149
S 0.2865 0.9963 0.2518
S 0.7122 0.7110 0.2500
S 0.0015 0.2957 0.2507
S 0.2926 0.2899 0.7497
S 0.9986 0.7130 0.7498
S 0.7098 0.9996 0.7508
S 0.3754 0.0427 0.5844
S 0.6675 0.6211 0.5832
S 0.9595 0.6268 0.0832
S 0.6666 0.0402 0.0834
S 0.6237 0.6675 0.9156
S 0.0406 0.3765 0.9168
S 0.3347 0.9537 0.9167
S 0.3374 0.3779 0.4171
S 0.0441 0.6666 0.4166
O 0.2044 0.0297 0.3057
O 0.8264 0.7928 0.3035
O 0.9668 0.1807 0.3049
O 0.2128 0.1745 0.8055
O 0.9661 0.7944 0.8050
O 0.8262 0.0351 0.8053
O 0.7897 0.9588 0.6952
O 0.1730 0.2089 0.6949
O 0.0383 0.8330 0.6934
O 0.7907 0.8306 0.1930
O 0.0412 0.2176 0.1948
O 0.1699 0.9580 0.1956
O 0.8808 0.3796 0.6439
O 0.4857 0.1202 0.6394
O 0.6259 0.5080 0.6391
O 0.8886 0.5107 0.1387
O 0.6314 0.1158 0.1391
O 0.4987 0.3777 0.1440
O 0.4545 0.2890 0.0226
O 0.8497 0.5509 0.0277
O 0.7124 0.1560 0.0280
O 0.4482 0.1625 0.5286
O 0.7024 0.5437 0.5273
O 0.8325 0.2947 0.5239
O 0.5439 0.7081 0.9712
O 0.1598 0.4576 0.9716
O 0.2951 0.8339 0.9731
O 0.5240 0.8220 0.4776
O 0.2931 0.4535 0.4715
O 0.1583 0.6994 0.4712
O 0.1163 0.6184 0.3602
O 0.4890 0.8684 0.3564
O 0.3743 0.4941 0.3599
O 0.1198 0.4918 0.8612
O 0.3672 0.8722 0.8616
O 0.5073 0.6315 0.8613
O 0.0350 0.8318 0.4077
O 0.8139 0.9711 0.4100
O 0.1785 0.1976 0.4085
O 0.0257 0.1962 0.9097
O 0.1687 0.9697 0.9107
O 0.8049 0.8346 0.9091
O 0.9812 0.1558 0.5927
O 0.1885 0.0194 0.5918
O 0.8361 0.8037 0.5910
O 0.9714 0.8066 0.0923
O 0.8272 0.0137 0.0921
O 0.1727 0.1530 0.0934
O 0.6887 0.1602 0.7436
O 0.4733 0.3068 0.7410
O 0.8323 0.5345 0.7442
O 0.6977 0.5317 0.2433
O 0.8382 0.3138 0.2408
O 0.4714 0.1557 0.2441
O 0.6452 0.5066 0.9229
O 0.8594 0.3598 0.9260
O 0.5017 0.1323 0.9226
O 0.6270 0.1495 0.4235
O 0.5079 0.3709 0.4260
O 0.8570 0.5049 0.4236
O 0.3518 0.5125 0.0734
O 0.1470 0.6535 0.0745
O 0.4978 0.8602 0.0745
O 0.3584 0.8621 0.5763
O 0.5044 0.6427 0.5769
O 0.1627 0.5167 0.5710
O 0.2971 0.8240 0.2564
O 0.5251 0.6912 0.2556
O 0.1709 0.4804 0.2583
O 0.3072 0.4704 0.7569
O 0.1648 0.6971 0.7560
O 0.5287 0.8323 0.7574

***

Record 6
The following is a DFT calculation (PBE) of a geometry-optimized Tb2Co2I structure.

Output
The symmetry is P6_3/mmc. The calculation puts the total energy at -5.603 eV per atom.

Lattice parameters (Å, degrees): 3.9527 3.9527 17.0442 90.00 90.00 120.00
Fractional coordinates of all 10 atoms:
Tb 0.0000 0.0000 0.1035
Tb 0.0000 0.0000 0.6035
Tb 0.0000 0.0000 0.3965
Tb 0.0000 0.0000 0.8965
Co 0.6667 0.3333 0.9984
Co 0.3333 0.6667 0.0016
Co 0.6667 0.3333 0.5016
Co 0.3333 0.6667 0.4984
I 0.6667 0.3333 0.2500
I 0.3333 0.6667 0.7500

***

Record 7
The following is a DFT calculation (PBE) of a geometry-optimized SrEuInBiO6 structure.

Output
The symmetry is P-1. Its polymorph energy (0 for the lowest one) is 0 kJ/mol of formula units.

Lattice parameters (Å, degrees): 5.8741 6.0327 8.3894 90.13 90.09 90.06
Fractional coordinates of all 20 atoms:
Sr 0.5117 0.5484 0.2494
Sr 0.4883 0.4516 0.7506
Eu 0.9857 0.0542 0.2500
Eu 0.0143 0.9458 0.7500
In 0.5000 0.0000 0.0000
In 0.0000 0.5000 0.5000
Bi 0.0000 0.5000 0.0000
Bi 0.5000 0.0000 0.5000
O 0.1930 0.1948 0.9444
O 0.2968 0.7080 0.5566
O 0.8070 0.8052 0.0556
O 0.7032 0.2920 0.4434
O 0.2963 0.7080 0.9443
O 0.1962 0.1948 0.5558
O 0.7037 0.2920 0.0557
O 0.8038 0.8052 0.4442
O 0.3875 0.9686 0.2522
O 0.0972 0.4536 0.2516
O 0.6125 0.0314 0.7478
O 0.9028 0.5464 0.7484